1.
NaCrGe2O6: optimized geometry, PBE with a Hubbard U. Values from VASP.

Geometry as Quantum ESPRESSO input:
```
&SYSTEM
  ibrav = 0, nat = 20, ntyp = 4
/
ATOMIC_SPECIES
O 16.00 O.upf
Na 22.99 Na.upf
Ge 72.64 Ge.upf
Cr 52.00 Cr.upf
ATOMIC_POSITIONS crystal
O 0.310 0.368 0.914
O 0.690 0.632 0.086
O 0.190 0.086 0.632
O 0.493 0.351 0.375
O 0.871 0.188 0.023
O 0.507 0.649 0.625
O 0.129 0.812 0.977
O 0.993 0.375 0.351
O 0.371 0.023 0.188
O 0.629 0.977 0.812
O 0.007 0.625 0.649
O 0.810 0.914 0.368
Na 0.250 0.697 0.303
Na 0.750 0.303 0.697
Ge 0.774 0.386 0.194
Ge 0.726 0.806 0.614
Ge 0.226 0.614 0.806
Ge 0.274 0.194 0.386
Cr 0.250 0.089 0.911
Cr 0.750 0.911 0.089
CELL_PARAMETERS angstrom
-5.407 -1.209 0.398
-1.734 -1.421 -6.372
-0.032 -6.724 0.648
```

Properties
For the calculated volume, the calculation gives 239.7 Å³/cell. Its formation energy is -2.21 eV per atom. As for the total moment: 3.0 μB per formula unit.

***

2.
Cr3Ag8I2O12: optimized geometry, PBE with a Hubbard U. Values from VASP.

Geometry as Quantum ESPRESSO input:
```
&SYSTEM
  ibrav = 0, nat = 50, ntyp = 4
/
ATOMIC_SPECIES
I 126.90 I.upf
O 16.00 O.upf
Ag 107.87 Ag.upf
Cr 52.00 Cr.upf
ATOMIC_POSITIONS crystal
I 0.667 0.333 0.021
I 0.333 0.667 0.521
I 0.667 0.333 0.479
I 0.333 0.667 0.979
O 0.746 0.830 0.385
O 0.806 0.157 0.250
O 0.351 0.194 0.250
O 0.254 0.170 0.885
O 0.084 0.254 0.385
O 0.523 0.565 0.250
O 0.830 0.084 0.885
O 0.957 0.523 0.750
O 0.254 0.170 0.615
O 0.649 0.806 0.750
O 0.843 0.649 0.250
O 0.435 0.957 0.250
O 0.477 0.435 0.750
O 0.170 0.916 0.385
O 0.194 0.843 0.750
O 0.170 0.916 0.115
O 0.157 0.351 0.750
O 0.916 0.746 0.885
O 0.830 0.084 0.615
O 0.084 0.254 0.115
O 0.916 0.746 0.615
O 0.565 0.043 0.750
O 0.746 0.830 0.115
O 0.043 0.477 0.250
Ag 0.372 0.000 0.925
Ag 0.000 0.628 0.425
Ag 0.000 0.000 0.500
Ag 0.372 0.000 0.575
Ag 0.628 0.000 0.075
Ag 0.000 0.000 0.000
Ag 0.000 0.372 0.925
Ag 0.333 0.667 0.250
Ag 0.372 0.372 0.425
Ag 0.000 0.372 0.575
Ag 0.667 0.333 0.750
Ag 0.628 0.000 0.425
Ag 0.372 0.372 0.075
Ag 0.628 0.628 0.925
Ag 0.000 0.628 0.075
Ag 0.628 0.628 0.575
Cr 0.996 0.716 0.750
Cr 0.004 0.284 0.250
Cr 0.280 0.996 0.250
Cr 0.716 0.720 0.250
Cr 0.284 0.280 0.750
Cr 0.720 0.004 0.750
CELL_PARAMETERS angstrom
7.497 5.083 -3.022
-8.335 4.336 1.702
2.875 1.642 9.892
```

Properties
For the calculated volume, the calculation gives 823.6 Å³/cell. Its formation energy is -0.98 eV per atom. As for the total moment: 0.0 μB per formula unit.

***

3.
Na3Zn2W3O12: optimized geometry, PBE with a Hubbard U. Values from VASP.

Geometry as Quantum ESPRESSO input:
```
&SYSTEM
  ibrav = 0, nat = 40, ntyp = 4
/
ATOMIC_SPECIES
Na 22.99 Na.upf
O 16.00 O.upf
Zn 65.41 Zn.upf
W 183.84 W.upf
ATOMIC_POSITIONS crystal
Na 0.235 0.765 0.250
Na 0.524 0.476 0.250
Na 0.476 0.524 0.750
Na 0.000 0.000 0.000
Na 0.000 0.000 0.500
Na 0.765 0.235 0.750
O 0.639 0.653 0.413
O 0.200 0.037 0.196
O 0.160 0.496 0.384
O 0.117 0.463 0.822
O 0.037 0.200 0.696
O 0.343 0.741 0.520
O 0.259 0.657 0.980
O 0.023 0.752 0.733
O 0.752 0.023 0.233
O 0.963 0.800 0.304
O 0.504 0.840 0.116
O 0.657 0.259 0.480
O 0.653 0.639 0.913
O 0.361 0.347 0.587
O 0.496 0.160 0.884
O 0.347 0.361 0.087
O 0.537 0.883 0.678
O 0.977 0.248 0.267
O 0.840 0.504 0.616
O 0.741 0.343 0.020
O 0.883 0.537 0.178
O 0.800 0.963 0.804
O 0.463 0.117 0.322
O 0.248 0.977 0.767
Zn 0.136 0.442 0.130
Zn 0.864 0.558 0.870
Zn 0.558 0.864 0.370
Zn 0.442 0.136 0.630
W 0.381 0.168 0.121
W 0.224 0.776 0.750
W 0.168 0.381 0.621
W 0.619 0.832 0.879
W 0.832 0.619 0.379
W 0.776 0.224 0.250
CELL_PARAMETERS angstrom
4.616 -5.178 -6.227
5.988 7.123 0.553
5.888 -2.641 3.599
```

Properties
For the calculated volume, the calculation gives 579.4 Å³/cell. Its formation energy is -2.03 eV per atom. As for the total moment: 1.0 μB per formula unit.

***

4.
RbLiMoHO4: optimized geometry, PBE with a Hubbard U. Values from VASP.

Geometry as Quantum ESPRESSO input:
```
&SYSTEM
  ibrav = 0, nat = 64, ntyp = 5
/
ATOMIC_SPECIES
Li 6.94 Li.upf
O 16.00 O.upf
Mo 95.94 Mo.upf
H 1.01 H.upf
Rb 85.47 Rb.upf
ATOMIC_POSITIONS crystal
Li 0.029 0.588 0.686
Li 0.971 0.912 0.186
Li 0.529 0.412 0.814
Li 0.471 0.088 0.314
Li 0.471 0.588 0.186
Li 0.971 0.412 0.314
Li 0.029 0.088 0.814
Li 0.529 0.912 0.686
O 0.276 0.067 0.397
O 0.032 0.838 0.508
O 0.423 0.259 0.795
O 0.468 0.338 0.492
O 0.776 0.433 0.397
O 0.776 0.933 0.103
O 0.224 0.067 0.897
O 0.577 0.741 0.205
O 0.077 0.759 0.205
O 0.054 0.486 0.802
O 0.554 0.514 0.698
O 0.724 0.933 0.603
O 0.532 0.162 0.992
O 0.446 0.486 0.302
O 0.577 0.241 0.295
O 0.532 0.662 0.508
O 0.554 0.014 0.802
O 0.968 0.662 0.008
O 0.946 0.514 0.198
O 0.446 0.986 0.198
O 0.923 0.241 0.795
O 0.468 0.838 0.008
O 0.946 0.014 0.302
O 0.276 0.567 0.103
O 0.032 0.338 0.992
O 0.423 0.759 0.705
O 0.224 0.567 0.603
O 0.054 0.986 0.698
O 0.923 0.741 0.705
O 0.724 0.433 0.897
O 0.077 0.259 0.295
O 0.968 0.162 0.492
Mo 0.066 0.124 0.374
Mo 0.566 0.376 0.374
Mo 0.434 0.624 0.626
Mo 0.066 0.624 0.126
Mo 0.934 0.376 0.874
Mo 0.566 0.876 0.126
Mo 0.934 0.876 0.626
Mo 0.434 0.124 0.874
H 0.349 0.038 0.599
H 0.849 0.462 0.599
H 0.151 0.038 0.099
H 0.651 0.962 0.401
H 0.349 0.538 0.901
H 0.151 0.538 0.401
H 0.651 0.462 0.099
H 0.849 0.962 0.901
Rb 0.807 0.200 0.130
Rb 0.307 0.800 0.370
Rb 0.193 0.800 0.870
Rb 0.807 0.700 0.370
Rb 0.307 0.300 0.130
Rb 0.193 0.300 0.630
Rb 0.693 0.200 0.630
Rb 0.693 0.700 0.870
CELL_PARAMETERS angstrom
7.956 0.000 0.000
0.000 11.001 0.000
0.000 0.000 13.113
```

Properties
For the calculated volume, the calculation gives 1147.8 Å³/cell. Its formation energy is -1.63 eV per atom. As for the total moment: 1.0 μB per formula unit.